This record from the Materials Project describes a relaxed structure of ErB4Rh4. The functional is GGA-PBE.

a b c (Å): 5.336 5.336 7.445
angles (deg): 90.00 90.00 90.00
Fractional positions:
1 Er 0.250 0.750 0.250
2 Er 0.750 0.250 0.750
3 B 0.081 0.250 0.101
4 B 0.250 0.081 0.601
5 B 0.250 0.419 0.601
6 B 0.419 0.250 0.101
7 B 0.581 0.750 0.899
8 B 0.750 0.581 0.399
9 B 0.750 0.919 0.399
10 B 0.919 0.750 0.899
11 Rh 0.001 0.750 0.604
12 Rh 0.250 0.501 0.896
13 Rh 0.250 0.999 0.896
14 Rh 0.499 0.750 0.604
15 Rh 0.501 0.250 0.396
16 Rh 0.750 0.001 0.104
17 Rh 0.750 0.499 0.104
18 Rh 0.999 0.250 0.396

Summary:
As for the total energy: -7.33 eV/atom. The value obtained for the formation energy is -580 meV per atom. Its magnetization is 0.00 μB/cell. The space group is P4_2/nmc (137). For the distance to the lowest polymorph of the same formula, the calculation gives 2.2 meV/atom.